This record from Materials Project describes a relaxed structure of ReO3. The functional is PBE.

Lattice parameters (Å, degrees): 4.9156 4.9156 4.5054 90.00 90.00 120.00
Space group P6_322 (No. 182)
Inequivalent atoms, fractional coordinates:
Re  0.3333  0.6667  0.2500 x2
O  0.0000  0.3749  0.0000 x6

The calculation puts the total energy at -33.34 eV/f.u. The energy relative to the elements comes out at -2.029 eV/atom.

***

This record from Materials Project describes a relaxed structure of ReO3. The functional is PBE.

Lattice parameters (Å, degrees): 7.5851 7.5851 7.5851 90.00 90.00 90.00
Space group Im-3 (No. 204)
Inequivalent atoms, fractional coordinates:
Re  0.2500  0.2500  0.2500 x8
O  0.0000  0.2414  0.2584 x24

The calculation puts the total energy at -33.76 eV/f.u. The energy relative to the elements comes out at -2.134 eV/atom.